Na4Al3Ge3BH4O12: optimized geometry, PBE.

Geometry as extended XYZ:
```
54
Lattice="9.1398 0.0000 0.0000 0.0000 9.1398 0.0000 0.0000 0.0000 9.1398" Properties=species:S:1:pos:R:3 pbc="T T T"
Na 1.5784 1.5784 1.5784
Na 1.5784 7.5614 7.5614
Na 2.9915 2.9915 6.1483
Na 2.9915 6.1483 2.9915
Na 6.1483 2.9915 2.9915
Na 6.1483 6.1483 6.1483
Na 7.5614 1.5784 7.5614
Na 7.5614 7.5614 1.5784
Al 0.0000 2.2849 4.5699
Al 0.0000 6.8548 4.5699
Al 2.2849 4.5699 0.0000
Al 4.5699 0.0000 2.2849
Al 4.5699 0.0000 6.8548
Al 6.8548 4.5699 0.0000
Ge 0.0000 4.5699 2.2849
Ge 0.0000 4.5699 6.8548
Ge 2.2849 0.0000 4.5699
Ge 4.5699 2.2849 0.0000
Ge 4.5699 6.8548 0.0000
Ge 6.8548 0.0000 4.5699
B 0.0000 0.0000 0.0000
B 4.5699 4.5699 4.5699
H 0.7102 0.7102 8.4296
H 0.7102 8.4296 0.7102
H 3.8597 3.8597 3.8597
H 3.8597 5.2801 5.2801
H 5.2801 3.8597 5.2801
H 5.2801 5.2801 3.8597
H 8.4296 0.7102 0.7102
H 8.4296 8.4296 8.4296
O 0.6730 3.2589 5.8840
O 0.6730 5.8809 3.2558
O 1.3110 3.8969 1.3141
O 1.3110 5.2429 7.8257
O 1.3141 1.3110 3.8969
O 1.3141 7.8288 5.2429
O 3.2558 0.6730 5.8809
O 3.2558 8.4668 3.2589
O 3.2589 3.2558 8.4668
O 3.2589 5.8840 0.6730
O 3.8969 1.3141 1.3110
O 3.8969 7.8257 7.8288
O 5.2429 1.3141 7.8288
O 5.2429 7.8257 1.3110
O 5.8809 3.2558 0.6730
O 5.8809 5.8840 8.4668
O 5.8840 0.6730 3.2589
O 5.8840 8.4668 5.8809
O 7.8257 1.3110 5.2429
O 7.8257 7.8288 3.8969
O 7.8288 3.8969 7.8257
O 7.8288 5.2429 1.3141
O 8.4668 3.2589 3.2558
O 8.4668 5.8809 5.8840
```

Calculated values
* uncorrected energy: -319.81 eV for the cell shown
* maximum piezoelectric response: 0.172 C/m²
* SG: No. 218
* formation enthalpy at 0 K: -2.1528 eV per atom
* calculated density: 2.60 g/cm³